No. 1
VASP calculation (GGA+U) on a relaxed structure of Co5SnO12.

```
data_Co5SnO12
_symmetry_space_group_name_H-M 'C 1 2/m 1'
_symmetry_Int_Tables_number 12
_cell_length_a 5.044
_cell_length_b 8.743
_cell_length_c 9.532
_cell_angle_alpha 90.00
_cell_angle_beta 90.05
_cell_angle_gamma 90.00
loop_
_symmetry_equiv_pos_as_xyz
'x,y,z'
'-x,-y,-z'
'-x,y,-z'
'x,-y,z'
'x+1/2,y+1/2,z'
'-x+1/2,-y+1/2,-z'
'-x+1/2,y+1/2,-z'
'x+1/2,-y+1/2,z'
loop_
_atom_site_label
_atom_site_type_symbol
_atom_site_fract_x
_atom_site_fract_y
_atom_site_fract_z
_atom_site_occupancy
Co1 Co 0.000 0.000 0.000 1
Co2 Co 0.000 0.167 0.500 1
Co3 Co 0.000 0.335 0.000 1
Sn1 Sn 0.000 0.500 0.500 1
O1 O 0.140 0.000 0.604 1
O2 O 0.166 0.500 0.905 1
O3 O 0.167 0.166 0.909 1
O4 O 0.180 0.320 0.604 1
```

ΔE_f (eV per atom): -1.160
Total moment (μB/cell): 9.983



No. 2
VASP calculation (GGA+U) on a relaxed structure of Rb2Nd2MgW4O16.

```
data_Rb2Nd2MgW4O16
_symmetry_space_group_name_H-M 'P 1'
_symmetry_Int_Tables_number 1
_cell_length_a 7.543
_cell_length_b 7.606
_cell_length_c 8.366
_cell_angle_alpha 87.71
_cell_angle_beta 64.37
_cell_angle_gamma 61.23
loop_
_symmetry_equiv_pos_as_xyz
'x,y,z'
loop_
_atom_site_label
_atom_site_type_symbol
_atom_site_fract_x
_atom_site_fract_y
_atom_site_fract_z
_atom_site_occupancy
Rb1 Rb 0.000 0.000 0.000 1
Rb2 Rb 0.487 0.412 0.597 1
Nd1 Nd 0.535 0.941 0.957 1
Nd2 Nd 0.951 0.461 0.634 1
Mg1 Mg 0.303 0.279 0.266 1
W1 W 0.050 0.890 0.482 1
W2 W 0.452 0.537 0.112 1
W3 W 0.554 0.892 0.471 1
W4 W 0.951 0.517 0.118 1
O1 O 0.029 0.465 0.876 1
O2 O 0.149 0.246 0.134 1
O3 O 0.175 0.588 0.069 1
O4 O 0.220 0.557 0.374 1
O5 O 0.271 0.844 0.211 1
O6 O 0.318 0.814 0.514 1
O7 O 0.331 0.174 0.469 1
O8 O 0.459 0.957 0.716 1
O9 O 0.558 0.237 0.036 1
O10 O 0.594 0.603 0.875 1
O11 O 0.700 0.451 0.163 1
O12 O 0.700 0.812 0.181 1
O13 O 0.808 0.584 0.400 1
O14 O 0.816 0.949 0.415 1
O15 O 0.903 0.812 0.698 1
O16 O 0.928 0.163 0.567 1
```

ΔE_f (eV per atom): -2.542
Total moment (μB/cell): 0.000